(P)
DFT (GGA-PBE) results for a geometry-optimized Mg3B7ClO13 structure.

a b c (Å): 8.6431 8.6288 12.2237
angles (deg): 90.00 90.00 90.00
Fractional coordinates of all 96 atoms:
1 Mg 0.0163 0.0315 0.0000
2 Mg 0.0158 0.4681 0.9971
3 Mg 0.2409 0.2486 0.2755
4 Mg 0.2591 0.2486 0.7755
5 Mg 0.4837 0.0315 0.5000
6 Mg 0.4842 0.4681 0.4971
7 Mg 0.5158 0.5319 0.9971
8 Mg 0.5163 0.9685 0.0000
9 Mg 0.7409 0.7514 0.2755
10 Mg 0.7591 0.7514 0.7755
11 Mg 0.9842 0.5319 0.4971
12 Mg 0.9837 0.9685 0.5000
13 B 0.0020 0.4974 0.7499
14 B 0.0029 0.0038 0.7507
15 B 0.0429 0.7491 0.1484
16 B 0.0942 0.7501 0.6782
17 B 0.2433 0.7469 0.0031
18 B 0.2468 0.5963 0.8305
19 B 0.2472 0.9033 0.8313
20 B 0.2532 0.5963 0.3305
21 B 0.2528 0.9033 0.3313
22 B 0.2567 0.7469 0.5031
23 B 0.4058 0.7501 0.1782
24 B 0.4571 0.7491 0.6484
25 B 0.4971 0.0038 0.2507
26 B 0.4980 0.4974 0.2499
27 B 0.5020 0.5026 0.7499
28 B 0.5029 0.9962 0.7507
29 B 0.5429 0.2509 0.1484
30 B 0.5942 0.2499 0.6782
31 B 0.7433 0.2531 0.0031
32 B 0.7472 0.0967 0.8313
33 B 0.7468 0.4037 0.8305
34 B 0.7528 0.0967 0.3313
35 B 0.7532 0.4037 0.3305
36 B 0.7567 0.2531 0.5031
37 B 0.9058 0.2499 0.1782
38 B 0.9571 0.2509 0.6484
39 B 0.9971 0.9962 0.2507
40 B 0.9980 0.5026 0.2499
41 Cl 0.2215 0.2498 0.9872
42 Cl 0.2785 0.2498 0.4872
43 Cl 0.7215 0.7502 0.9872
44 Cl 0.7785 0.7502 0.4872
45 O 0.0333 0.3381 0.2283
46 O 0.0351 0.5894 0.1455
47 O 0.0442 0.1701 0.7241
48 O 0.0480 0.9090 0.6564
49 O 0.0895 0.5572 0.3445
50 O 0.0905 0.9629 0.8495
51 O 0.1151 0.8286 0.0645
52 O 0.1406 0.6763 0.5759
53 O 0.1629 0.0186 0.2717
54 O 0.1670 0.4724 0.7731
55 O 0.1737 0.6239 0.9366
56 O 0.1787 0.8649 0.4351
57 O 0.2308 0.7504 0.7623
58 O 0.2692 0.7504 0.2623
59 O 0.3213 0.8649 0.9351
60 O 0.3263 0.6239 0.4366
61 O 0.3330 0.4724 0.2731
62 O 0.3371 0.0186 0.7717
63 O 0.3594 0.6763 0.0759
64 O 0.3849 0.8286 0.5645
65 O 0.4095 0.9629 0.3495
66 O 0.4105 0.5572 0.8445
67 O 0.4520 0.9090 0.1564
68 O 0.4558 0.1701 0.2241
69 O 0.4649 0.5894 0.6455
70 O 0.4667 0.3381 0.7283
71 O 0.5333 0.6619 0.2283
72 O 0.5351 0.4106 0.1455
73 O 0.5442 0.8299 0.7241
74 O 0.5480 0.0910 0.6564
75 O 0.5895 0.4428 0.3445
76 O 0.5905 0.0371 0.8495
77 O 0.6151 0.1714 0.0645
78 O 0.6406 0.3237 0.5759
79 O 0.6629 0.9814 0.2717
80 O 0.6670 0.5276 0.7731
81 O 0.6737 0.3761 0.9366
82 O 0.6787 0.1351 0.4351
83 O 0.7308 0.2496 0.7623
84 O 0.7692 0.2496 0.2623
85 O 0.8213 0.1351 0.9351
86 O 0.8263 0.3761 0.4366
87 O 0.8330 0.5276 0.2731
88 O 0.8371 0.9814 0.7717
89 O 0.8594 0.3237 0.0759
90 O 0.8849 0.1714 0.5645
91 O 0.9095 0.0371 0.3495
92 O 0.9105 0.4428 0.8445
93 O 0.9520 0.0910 0.1564
94 O 0.9558 0.8299 0.2241
95 O 0.9649 0.4106 0.6455
96 O 0.9667 0.6619 0.7283

* mass density: 2.856 g cm⁻³
* spin magnetization: 0.00 Bohr magnetons per cell
* SG: Pca2_1



(Q)
DFT (GGA-PBE) results for a geometry-optimized Mg3B7ClO13 structure.

a b c (Å): 8.6069 8.6069 8.6069
angles (deg): 60.00 60.00 60.00
Fractional coordinates of all 48 atoms:
1 Mg 0.2500 0.2500 0.7500
2 Mg 0.2500 0.7500 0.2500
3 Mg 0.2500 0.7500 0.7500
4 Mg 0.7500 0.2500 0.2500
5 Mg 0.7500 0.2500 0.7500
6 Mg 0.7500 0.7500 0.2500
7 B 0.0000 0.0000 0.5000
8 B 0.0000 0.5000 0.0000
9 B 0.0000 0.5000 0.5000
10 B 0.1694 0.1694 0.1694
11 B 0.1694 0.1694 0.4919
12 B 0.1694 0.4919 0.1694
13 B 0.4919 0.1694 0.1694
14 B 0.5000 0.0000 0.0000
15 B 0.5000 0.0000 0.5000
16 B 0.5000 0.5000 0.0000
17 B 0.6694 0.6694 0.6694
18 B 0.6694 0.6694 0.9919
19 B 0.6694 0.9919 0.6694
20 B 0.9919 0.6694 0.6694
21 Cl 0.0000 0.0000 0.0000
22 Cl 0.5000 0.5000 0.5000
23 O 0.0495 0.4920 0.8127
24 O 0.0495 0.6458 0.4920
25 O 0.0495 0.8127 0.6458
26 O 0.1458 0.3127 0.5495
27 O 0.1458 0.5495 0.9920
28 O 0.1458 0.9920 0.3127
29 O 0.2500 0.2500 0.2500
30 O 0.3127 0.1458 0.9920
31 O 0.3127 0.5495 0.1458
32 O 0.3127 0.9920 0.5495
33 O 0.4920 0.0495 0.6458
34 O 0.4920 0.6458 0.8127
35 O 0.4920 0.8127 0.0495
36 O 0.5495 0.1458 0.3127
37 O 0.5495 0.3127 0.9920
38 O 0.5495 0.9920 0.1458
39 O 0.6458 0.0495 0.8127
40 O 0.6458 0.4920 0.0495
41 O 0.6458 0.8127 0.4920
42 O 0.7500 0.7500 0.7500
43 O 0.8127 0.0495 0.4920
44 O 0.8127 0.4920 0.6458
45 O 0.8127 0.6458 0.0495
46 O 0.9920 0.1458 0.5495
47 O 0.9920 0.3127 0.1458
48 O 0.9920 0.5495 0.3127

* mass density: 2.888 g cm⁻³
* maximum piezoelectric response: 0.48 C/m²
* spin magnetization: 0.00 Bohr magnetons per cell
* SG: F-43c



(P) has the most favorable energy; the next structure is 0.010 eV/atom above.



(P)
DFT (GGA-PBE) results for a geometry-optimized HfCo3B2 structure.

a b c (Å): 4.8234 4.8234 3.0539
angles (deg): 90.00 90.00 120.00
Fractional coordinates of all 6 atoms:
1 Hf 0.0000 0.0000 0.0000
2 Co 0.0000 0.5000 0.5000
3 Co 0.5000 0.0000 0.5000
4 Co 0.5000 0.5000 0.5000
5 B 0.3333 0.6667 0.0000
6 B 0.6667 0.3333 0.0000

* mass density: 10.172 g cm⁻³
* spin magnetization: 0.00 Bohr magnetons per cell
* SG: P6/mmm



(Q)
DFT (GGA-PBE) results for a geometry-optimized HfCo3B2 structure.

a b c (Å): 5.7002 5.7002 5.7002
angles (deg): 94.52 94.52 94.52
Fractional coordinates of all 18 atoms:
1 Hf 0.0000 0.0000 0.0000
2 Hf 0.3295 0.3295 0.3295
3 Hf 0.6705 0.6705 0.6705
4 Co 0.0000 0.0000 0.5000
5 Co 0.0000 0.5000 0.0000
6 Co 0.1968 0.6946 0.6946
7 Co 0.3054 0.3054 0.8032
8 Co 0.3054 0.8032 0.3054
9 Co 0.5000 0.0000 0.0000
10 Co 0.6946 0.1968 0.6946
11 Co 0.6946 0.6946 0.1968
12 Co 0.8032 0.3054 0.3054
13 B 0.0000 0.3779 0.6221
14 B 0.0000 0.6221 0.3779
15 B 0.3779 0.0000 0.6221
16 B 0.3779 0.6221 0.0000
17 B 0.6221 0.0000 0.3779
18 B 0.6221 0.3779 0.0000

* mass density: 10.239 g cm⁻³
* SG: R-3m



(Q) has the most favorable energy; the next structure is 0.018 eV/atom above.